Record 1
A plane-wave DFT calculation with PBE-GGA was carried out for a geometry-optimized Sr3Mo3N5 structure.

Unit cell a=6.1297 b=7.3612 c=8.9254 alpha=108.37 beta=104.29 gamma=95.52
Positions (direct):
Sr 0.1533 0.1554 0.2066
Sr 0.1620 0.3685 0.8908
Sr 0.3201 0.9397 0.6194
Sr 0.6799 0.0603 0.3806
Sr 0.8380 0.6315 0.1092
Sr 0.8467 0.8446 0.7934
Mo 0.2041 0.4626 0.5745
Mo 0.3753 0.6158 0.3000
Mo 0.4017 0.8221 0.9647
Mo 0.5983 0.1779 0.0353
Mo 0.6247 0.3842 0.7000
Mo 0.7959 0.5374 0.4255
N 0.1038 0.5602 0.3765
N 0.2558 0.0414 0.9109
N 0.3061 0.7397 0.1321
N 0.3521 0.2254 0.5101
N 0.4750 0.6082 0.7966
N 0.5250 0.3918 0.2034
N 0.6479 0.7746 0.4899
N 0.6939 0.2603 0.8679
N 0.7442 0.9586 0.0891
N 0.8962 0.4398 0.6235

**Energy of formation**: -7.49 eV per formula unit

Record 2
A plane-wave DFT calculation with PBE-GGA was carried out for a geometry-optimized Sr3Mo2N4 structure.

Unit cell a=7.3812 b=7.3812 c=5.7390 alpha=91.10 beta=91.10 gamma=74.00
Positions (direct):
Sr 0.1020 0.8980 0.7500
Sr 0.2507 0.5151 0.4720
Sr 0.4849 0.7493 0.0280
Sr 0.5151 0.2507 0.9720
Sr 0.7493 0.4849 0.5280
Sr 0.8980 0.1020 0.2500
Mo 0.0771 0.3278 0.9128
Mo 0.3278 0.0771 0.4128
Mo 0.6722 0.9229 0.5872
Mo 0.9229 0.6722 0.0872
N 0.0999 0.2347 0.5870
N 0.1988 0.5466 0.9858
N 0.2347 0.0999 0.0870
N 0.4534 0.8012 0.5142
N 0.5466 0.1988 0.4858
N 0.7653 0.9001 0.9130
N 0.8012 0.4534 0.0142
N 0.9001 0.7653 0.4130

**Energy of formation**: -5.60 eV per formula unit
**Energy above the lowest structure with this stoichiometry**: 3.07 kcal/mol of atoms

Record 3
A plane-wave DFT calculation with PBE-GGA was carried out for a geometry-optimized Sr3MoN4 structure.

Unit cell a=10.3776 b=10.3776 c=9.9724 alpha=96.87 beta=96.87 gamma=59.96
Positions (direct):
Sr 0.0145 0.9855 0.7500
Sr 0.0501 0.3050 0.4545
Sr 0.0799 0.6115 0.9007
Sr 0.2795 0.3507 0.2017
Sr 0.3050 0.0501 0.9545
Sr 0.3170 0.6390 0.4130
Sr 0.3507 0.2795 0.7017
Sr 0.3610 0.6830 0.0870
Sr 0.3885 0.9201 0.5993
Sr 0.6115 0.0799 0.4007
Sr 0.6390 0.3170 0.9130
Sr 0.6493 0.7205 0.2983
Sr 0.6830 0.3610 0.5870
Sr 0.6950 0.9499 0.0455
Sr 0.7205 0.6493 0.7983
Sr 0.9201 0.3885 0.0993
Sr 0.9499 0.6950 0.5455
Sr 0.9855 0.0145 0.2500
Mo 0.0274 0.3238 0.7878
Mo 0.3238 0.0274 0.2878
Mo 0.3343 0.6657 0.7500
Mo 0.6657 0.3343 0.2500
Mo 0.6762 0.9726 0.7122
Mo 0.9726 0.6762 0.2122
N 0.0144 0.5169 0.3165
N 0.1370 0.1414 0.6910
N 0.1414 0.1370 0.1910
N 0.1451 0.3343 0.9434
N 0.1567 0.6486 0.1633
N 0.1706 0.7276 0.6223
N 0.2724 0.8294 0.8777
N 0.3343 0.1451 0.4434
N 0.3514 0.8433 0.3367
N 0.3685 0.5013 0.8440
N 0.4831 0.9856 0.1835
N 0.4987 0.6315 0.6560
N 0.5013 0.3685 0.3440
N 0.5169 0.0144 0.8165
N 0.6315 0.4987 0.1560
N 0.6486 0.1567 0.6633
N 0.6657 0.8549 0.5566
N 0.7276 0.1706 0.1223
N 0.8294 0.2724 0.3777
N 0.8433 0.3514 0.8367
N 0.8549 0.6657 0.0566
N 0.8586 0.8630 0.8090
N 0.8630 0.8586 0.3090
N 0.9856 0.4831 0.6835

**Energy of formation**: -8.81 eV per formula unit
**Energy above the lowest structure with this stoichiometry**: 0.00 kcal/mol of atoms

Record 4
A plane-wave DFT calculation with PBE-GGA was carried out for a geometry-optimized Sr3Mo2N4 structure.

Unit cell a=6.0009 b=10.5640 c=9.8157 alpha=90.00 beta=90.00 gamma=90.00
Positions (direct):
Sr 0.1216 0.1584 0.0805
Sr 0.1216 0.3416 0.4195
Sr 0.2500 0.0000 0.3997
Sr 0.2500 0.5000 0.1003
Sr 0.3784 0.6584 0.4195
Sr 0.3784 0.8416 0.0805
Sr 0.6216 0.1584 0.9195
Sr 0.6216 0.3416 0.5805
Sr 0.7500 0.0000 0.6003
Sr 0.7500 0.5000 0.8997
Sr 0.8784 0.6584 0.5805
Sr 0.8784 0.8416 0.9195
Mo 0.1363 0.2500 0.7500
Mo 0.2500 0.0000 0.7367
Mo 0.2500 0.5000 0.7633
Mo 0.3637 0.7500 0.7500
Mo 0.6363 0.2500 0.2500
Mo 0.7500 0.0000 0.2633
Mo 0.7500 0.5000 0.2367
Mo 0.8637 0.7500 0.2500
N 0.0088 0.0834 0.8390
N 0.0088 0.4166 0.6610
N 0.1523 0.6508 0.8733
N 0.1523 0.8492 0.6267
N 0.3477 0.1508 0.6267
N 0.3477 0.3492 0.8733
N 0.4912 0.5834 0.6610
N 0.4912 0.9166 0.8390
N 0.5088 0.0834 0.1610
N 0.5088 0.4166 0.3390
N 0.6523 0.6508 0.1267
N 0.6523 0.8492 0.3733
N 0.8477 0.1508 0.3733
N 0.8477 0.3492 0.1267
N 0.9912 0.5834 0.3390
N 0.9912 0.9166 0.1610

**Energy of formation**: -6.79 eV per formula unit
**Energy above the lowest structure with this stoichiometry**: 0.00 kcal/mol of atoms

Record 5
A plane-wave DFT calculation with PBE-GGA was carried out for a geometry-optimized Ta3Mo3N4 structure.

Unit cell a=3.0492 b=3.0492 c=12.6668 alpha=90.00 beta=90.00 gamma=90.00
Positions (direct):
Ta 0.0000 0.0000 0.0000
Ta 0.0000 0.0000 0.2935
Ta 0.5000 0.5000 0.4998
Mo 0.0000 0.0000 0.6513
Mo 0.5000 0.5000 0.1474
Mo 0.5000 0.5000 0.7942
N 0.0000 0.0000 0.4728
N 0.0000 0.0000 0.8217
N 0.5000 0.5000 0.3240
N 0.5000 0.5000 0.9705

**Energy of formation**: -8.62 eV per formula unit

Which of these has the highest energy of formation? number 2

Among the records above, which one has the lowest energy of formation? Sr3MoN4